A plane-wave DFT calculation with PBE+U was carried out for an optimized crystal structure of SmCrO3.

```
20
Lattice="5.629 0.000 0.000 0.000 7.749 0.000 0.000 0.000 5.411" Properties=species:S:1:pos:R:3 pbc="T T T"
Sm 0.333 1.937 0.089
Sm 2.482 5.812 2.794
Sm 3.148 1.937 2.617
Sm 5.296 5.812 5.323
Cr 0.000 0.000 2.706
Cr 0.000 3.875 2.706
Cr 2.815 0.000 0.000
Cr 2.815 3.875 0.000
O 0.185 5.812 2.161
O 1.149 4.284 4.322
O 1.149 7.339 4.322
O 1.666 0.410 1.616
O 1.666 3.465 1.616
O 2.629 1.937 4.867
O 3.000 5.812 0.545
O 3.963 4.284 3.795
O 3.963 7.339 3.795
O 4.481 0.410 1.089
O 4.481 3.465 1.089
O 5.444 1.937 3.251
```

- Formation energy: -3171 meV per atom
- Uncorrected energy: -8.202 eV per atom